(1)
{"formula": "BaDySnSbO6", "functional": "PBE", "state": "optimized geometry", "lattice_angstrom": [[0.000, 4.228, 4.228], [4.228, 0.000, 4.228], [4.228, 4.228, 0.000]], "species": ["Ba", "Dy", "Sn", "Sb", "O", "O", "O", "O", "O", "O"], "frac_coords": [[0.000, 0.000, 0.000], [0.250, 0.250, 0.250], [0.500, 0.500, 0.500], [0.750, 0.750, 0.750], [0.513, 0.513, 0.987], [0.513, 0.987, 0.513], [0.513, 0.987, 0.987], [0.987, 0.513, 0.513], [0.987, 0.513, 0.987], [0.987, 0.987, 0.513]], "total_energy_ev_per_cell": -66.40, "de_polymorph_kj_per_mol_fu": 17}

***

(2)
{"formula": "BaSrDySeO6", "functional": "PBE", "state": "optimized geometry", "lattice_angstrom": [[0.000, 4.180, 4.180], [4.180, 0.000, 4.180], [4.180, 4.180, 0.000]], "species": ["Ba", "Sr", "Dy", "Se", "O", "O", "O", "O", "O", "O"], "frac_coords": [[0.000, 0.000, 0.000], [0.500, 0.500, 0.500], [0.750, 0.750, 0.750], [0.250, 0.250, 0.250], [0.015, 0.015, 0.485], [0.015, 0.485, 0.015], [0.015, 0.485, 0.485], [0.485, 0.015, 0.015], [0.485, 0.015, 0.485], [0.485, 0.485, 0.015]], "total_energy_ev_per_cell": -63.92}

***

(3)
{"formula": "Ba2DyTaO6", "functional": "PBE", "state": "optimized geometry", "lattice_angstrom": [[0.000, 4.266, 4.266], [4.266, 0.000, 4.266], [4.266, 4.266, 0.000]], "species": ["Ba", "Ba", "Dy", "Ta", "O", "O", "O", "O", "O", "O"], "frac_coords": [[0.250, 0.250, 0.250], [0.750, 0.750, 0.750], [0.000, 0.000, 0.000], [0.500, 0.500, 0.500], [0.264, 0.264, 0.736], [0.264, 0.736, 0.264], [0.264, 0.736, 0.736], [0.736, 0.264, 0.264], [0.736, 0.264, 0.736], [0.736, 0.736, 0.264]], "total_energy_ev_per_cell": -81.68}

***

(4)
{"formula": "BaDyTi4O12", "functional": "PBE", "state": "optimized geometry", "lattice_angstrom": [[5.532, 0.000, 0.000], [0.000, 5.532, 0.000], [0.000, 0.000, 7.786]], "species": ["Ba", "Dy", "Ti", "Ti", "Ti", "Ti", "O", "O", "O", "O", "O", "O", "O", "O", "O", "O", "O", "O"], "frac_coords": [[0.000, 0.000, 0.000], [0.500, 0.500, 0.500], [0.000, 0.500, 0.252], [0.000, 0.500, 0.748], [0.500, 0.000, 0.252], [0.500, 0.000, 0.748], [0.000, 0.500, 0.000], [0.000, 0.500, 0.500], [0.259, 0.259, 0.269], [0.259, 0.259, 0.731], [0.259, 0.741, 0.269], [0.259, 0.741, 0.731], [0.500, 0.000, 0.000], [0.500, 0.000, 0.500], [0.741, 0.259, 0.269], [0.741, 0.259, 0.731], [0.741, 0.741, 0.269], [0.741, 0.741, 0.731]], "total_energy_ev_per_cell": -145.34}